[1]
A plane-wave DFT calculation with PBE was carried out for crystalline Ho12Ge5S28 at its relaxed geometry.

Summary:
Energy of formation from the pure elements, meV/atom: -1773
Energy, eV per atom: -5.770
Total energy after the MP2020 corrections, eV/cell: -273.73
Calculated volume, Å³/cell: 960.7
Spin magnetization, Bohr magnetons per cell: 0.01

Unit cell a=9.819 b=11.368 c=11.379 alpha=96.55 beta=115.55 gamma=115.57
Space group P1 (No. 1)
Symmetry-distinct sites (fractional):
Ho (0.000, 0.000, 0.000) (multiplicity 1)
Ho (0.006, 0.660, 0.884) (multiplicity 1)
Ho (0.049, 0.465, 0.570) (multiplicity 1)
Ho (0.284, 0.428, 0.068) (multiplicity 1)
Ho (0.330, 0.232, 0.765) (multiplicity 1)
Ho (0.339, 0.896, 0.647) (multiplicity 1)
Ho (0.478, 0.126, 0.368) (multiplicity 1)
Ho (0.500, 0.512, 0.525) (multiplicity 1)
Ho (0.518, 0.952, 0.050) (multiplicity 1)
Ho (0.816, 0.943, 0.601) (multiplicity 1)
Ho (0.827, 0.376, 0.121) (multiplicity 1)
Ho (0.845, 0.764, 0.273) (multiplicity 1)
Ge (0.082, 0.195, 0.405) (multiplicity 1)
Ge (0.333, 0.774, 0.322) (multiplicity 1)
Ge (0.583, 0.696, 0.907) (multiplicity 1)
Ge (0.645, 0.426, 0.303) (multiplicity 1)
Ge (0.826, 0.278, 0.818) (multiplicity 1)
S (0.000, 0.203, 0.560) (multiplicity 1)
S (0.060, 0.938, 0.553) (multiplicity 1)
S (0.062, 0.440, 0.820) (multiplicity 1)
S (0.103, 0.144, 0.853) (multiplicity 1)
S (0.132, 0.397, 0.370) (multiplicity 1)
S (0.139, 0.585, 0.129) (multiplicity 1)
S (0.207, 0.726, 0.766) (multiplicity 1)
S (0.217, 0.893, 0.367) (multiplicity 1)
S (0.248, 0.929, 0.072) (multiplicity 1)
S (0.329, 0.267, 0.232) (multiplicity 1)
S (0.357, 0.234, 0.528) (multiplicity 1)
S (0.392, 0.497, 0.723) (multiplicity 1)
S (0.443, 0.740, 0.523) (multiplicity 1)
S (0.497, 0.109, 0.890) (multiplicity 1)
S (0.503, 0.702, 0.064) (multiplicity 1)
S (0.566, 0.434, 0.066) (multiplicity 1)
S (0.581, 0.928, 0.332) (multiplicity 1)
S (0.592, 0.611, 0.342) (multiplicity 1)
S (0.633, 0.894, 0.869) (multiplicity 1)
S (0.639, 0.085, 0.629) (multiplicity 1)
S (0.698, 0.232, 0.266) (multiplicity 1)
S (0.718, 0.407, 0.853) (multiplicity 1)
S (0.729, 0.418, 0.532) (multiplicity 1)
S (0.816, 0.758, 0.733) (multiplicity 1)
S (0.857, 0.734, 0.034) (multiplicity 1)
S (0.890, 0.012, 0.206) (multiplicity 1)
S (0.946, 0.240, 0.017) (multiplicity 1)
S (0.947, 0.584, 0.367) (multiplicity 1)



[2]
A plane-wave DFT calculation with PBE was carried out for crystalline CaHo2Ge4O12 at its relaxed geometry.

Summary:
Energy of formation from the pure elements, meV/atom: -2835
Energy, eV per atom: -7.088
Total energy after the MP2020 corrections, eV/cell: -571.63
Calculated volume, Å³/cell: 1038.4
Spin magnetization, Bohr magnetons per cell: 0.00

Unit cell a=14.259 b=14.292 c=5.096 alpha=90.00 beta=90.00 gamma=90.00
Space group Cmme (No. 67)
Symmetry-distinct sites (fractional):
Ca (0.000, 0.000, 0.000) (multiplicity 4)
Ho (0.250, 0.000, 0.000) (multiplicity 4)
Ho (0.250, 0.250, 0.000) (multiplicity 4)
Ge (0.115, 0.135, 0.497) (multiplicity 16)
O (0.000, 0.130, 0.652) (multiplicity 8)
O (0.123, 0.054, 0.246) (multiplicity 16)
O (0.126, 0.250, 0.334) (multiplicity 8)
O (0.193, 0.135, 0.760) (multiplicity 16)



[3]
A plane-wave DFT calculation with PBE was carried out for crystalline CaCePd2 at its relaxed geometry.

Summary:
Energy of formation from the pure elements, meV/atom: -655
Energy, eV per atom: -5.229
Calculated volume, Å³/cell: 360.2
Spin magnetization, Bohr magnetons per cell: 3.67

Unit cell a=7.115 b=7.115 c=7.115 alpha=90.00 beta=90.00 gamma=90.00
Space group Fm-3m (No. 225)
Symmetry-distinct sites (fractional):
Ca (0.000, 0.000, 0.000) (multiplicity 4)
Ce (0.000, 0.000, 0.500) (multiplicity 4)
Pd (0.250, 0.250, 0.250) (multiplicity 8)



[4]
A plane-wave DFT calculation with PBE was carried out for crystalline Al2Si2O11 at its relaxed geometry.

Summary:
Energy of formation from the pure elements, meV/atom: -1872
Energy, eV per atom: -6.220
Offset from the most stable computed form, eV/f.u.: 0.00
Total energy after the MP2020 corrections, eV/cell: -201.71
Calculated volume, Å³/cell: 495.7
Spin magnetization, Bohr magnetons per cell: 16.00

Unit cell a=5.358 b=9.239 c=10.171 alpha=90.00 beta=100.07 gamma=90.00
Space group Cm (No. 8)
Symmetry-distinct sites (fractional):
Al (0.000, 0.167, 0.000) (multiplicity 4)
Si (0.276, 0.332, 0.555) (multiplicity 4)
O (0.040, 0.253, 0.610) (multiplicity 4)
O (0.143, 0.000, 0.087) (multiplicity 2)
O (0.226, 0.305, 0.088) (multiplicity 4)
O (0.234, 0.319, 0.389) (multiplicity 4)
O (0.271, 0.198, 0.909) (multiplicity 4)
O (0.293, 0.500, 0.607) (multiplicity 2)
O (0.362, 0.500, 0.911) (multiplicity 2)



[5]
A plane-wave DFT calculation with PBE was carried out for crystalline Ca2Al11Si13Ag7O48 at its relaxed geometry.

Summary:
Energy of formation from the pure elements, meV/atom: -2864
Energy, eV per atom: -7.063
Total energy after the MP2020 corrections, eV/cell: -605.04
Calculated volume, Å³/cell: 1925.9
Spin magnetization, Bohr magnetons per cell: 0.00

Unit cell a=12.173 b=12.220 c=12.947 alpha=90.13 beta=90.57 gamma=90.06
Space group P1 (No. 1)
Symmetry-distinct sites (fractional):
Ca (0.000, 0.000, 0.000) (multiplicity 1)
Ca (0.371, 0.998, 0.004) (multiplicity 1)
Al (0.184, 0.983, 0.403) (multiplicity 1)
Al (0.185, 0.374, 0.404) (multiplicity 1)
Al (0.185, 0.549, 0.952) (multiplicity 1)
Al (0.185, 0.820, 0.945) (multiplicity 1)
Al (0.187, 0.983, 0.169) (multiplicity 1)
Al (0.188, 0.368, 0.158) (multiplicity 1)
Al (0.384, 0.177, 0.167) (multiplicity 1)
Al (0.547, 0.177, 0.947) (multiplicity 1)
Al (0.822, 0.177, 0.944) (multiplicity 1)
Al (0.988, 0.180, 0.402) (multiplicity 1)
Al (0.989, 0.178, 0.163) (multiplicity 1)
Si (0.184, 0.551, 0.601) (multiplicity 1)
Si (0.184, 0.809, 0.604) (multiplicity 1)
Si (0.371, 0.549, 0.779) (multiplicity 1)
Si (0.374, 0.808, 0.778) (multiplicity 1)
Si (0.377, 0.180, 0.405) (multiplicity 1)
Si (0.551, 0.180, 0.599) (multiplicity 1)
Si (0.551, 0.994, 0.772) (multiplicity 1)
Si (0.552, 0.363, 0.775) (multiplicity 1)
Si (0.810, 0.180, 0.598) (multiplicity 1)
Si (0.814, 0.364, 0.774) (multiplicity 1)
Si (0.814, 0.993, 0.770) (multiplicity 1)
Si (0.996, 0.810, 0.772) (multiplicity 1)
Si (0.998, 0.548, 0.773) (multiplicity 1)
Ag (0.000, 0.364, 0.990) (multiplicity 1)
Ag (0.186, 0.602, 0.208) (multiplicity 1)
Ag (0.371, 0.365, 0.993) (multiplicity 1)
Ag (0.376, 0.381, 0.569) (multiplicity 1)
Ag (0.376, 0.978, 0.566) (multiplicity 1)
Ag (0.988, 0.370, 0.569) (multiplicity 1)
Ag (0.988, 0.989, 0.565) (multiplicity 1)
O (0.059, 0.856, 0.875) (multiplicity 1)
O (0.066, 0.056, 0.148) (multiplicity 1)
O (0.066, 0.511, 0.874) (multiplicity 1)
O (0.068, 0.298, 0.435) (multiplicity 1)
O (0.069, 0.063, 0.434) (multiplicity 1)
O (0.069, 0.293, 0.131) (multiplicity 1)
O (0.071, 0.521, 0.667) (multiplicity 1)
O (0.072, 0.838, 0.670) (multiplicity 1)
O (0.180, 0.680, 0.573) (multiplicity 1)
O (0.183, 0.686, 0.976) (multiplicity 1)
O (0.186, 0.915, 0.286) (multiplicity 1)
O (0.187, 0.432, 0.281) (multiplicity 1)
O (0.188, 0.478, 0.067) (multiplicity 1)
O (0.188, 0.919, 0.041) (multiplicity 1)
O (0.195, 0.479, 0.500) (multiplicity 1)
O (0.196, 0.886, 0.507) (multiplicity 1)
O (0.293, 0.832, 0.678) (multiplicity 1)
O (0.294, 0.526, 0.675) (multiplicity 1)
O (0.304, 0.069, 0.429) (multiplicity 1)
O (0.306, 0.292, 0.430) (multiplicity 1)
O (0.306, 0.511, 0.881) (multiplicity 1)
O (0.310, 0.054, 0.154) (multiplicity 1)
O (0.310, 0.296, 0.139) (multiplicity 1)
O (0.314, 0.855, 0.881) (multiplicity 1)
O (0.405, 0.679, 0.782) (multiplicity 1)
O (0.435, 0.182, 0.296) (multiplicity 1)
O (0.464, 0.157, 0.053) (multiplicity 1)
O (0.475, 0.182, 0.498) (multiplicity 1)
O (0.483, 0.478, 0.762) (multiplicity 1)
O (0.487, 0.877, 0.755) (multiplicity 1)
O (0.503, 0.054, 0.873) (multiplicity 1)
O (0.508, 0.297, 0.875) (multiplicity 1)
O (0.522, 0.290, 0.669) (multiplicity 1)
O (0.523, 0.068, 0.666) (multiplicity 1)
O (0.679, 0.181, 0.570) (multiplicity 1)
O (0.682, 0.968, 0.774) (multiplicity 1)
O (0.683, 0.393, 0.776) (multiplicity 1)
O (0.684, 0.174, 0.956) (multiplicity 1)
O (0.836, 0.067, 0.666) (multiplicity 1)
O (0.838, 0.289, 0.670) (multiplicity 1)
O (0.859, 0.299, 0.874) (multiplicity 1)
O (0.863, 0.054, 0.872) (multiplicity 1)
O (0.880, 0.876, 0.755) (multiplicity 1)
O (0.883, 0.182, 0.499) (multiplicity 1)
O (0.884, 0.478, 0.760) (multiplicity 1)
O (0.911, 0.156, 0.046) (multiplicity 1)
O (0.930, 0.184, 0.282) (multiplicity 1)
O (0.969, 0.679, 0.773) (multiplicity 1)



[6]
A plane-wave DFT calculation with PBE was carried out for crystalline CeSe2 at its relaxed geometry.

Summary:
Energy of formation from the pure elements, meV/atom: -1441
Energy, eV per atom: -5.435
Total energy after the MP2020 corrections, eV/cell: -827.90
Calculated volume, Å³/cell: 7169.1
Spin magnetization, Bohr magnetons per cell: 0.00

Unit cell a=19.282 b=19.282 c=19.282 alpha=90.00 beta=90.00 gamma=90.00
Space group Ia-3 (No. 206)
Symmetry-distinct sites (fractional):
Ce (0.003, 0.129, 0.309) (multiplicity 48)
Se (0.000, 0.250, 0.004) (multiplicity 24)
Se (0.000, 0.250, 0.237) (multiplicity 24)
Se (0.117, 0.117, 0.624) (multiplicity 48)



[7]
A plane-wave DFT calculation with PBE was carried out for crystalline Sr3Si2As4 at its relaxed geometry.

Summary:
Energy of formation from the pure elements, meV/atom: -830
Energy, eV per atom: -4.669
Calculated volume, Å³/cell: 994.0

Unit cell a=9.297 b=17.002 c=7.456 alpha=90.00 beta=122.50 gamma=90.00
Space group C2/c (No. 15)
Symmetry-distinct sites (fractional):
Sr (0.000, 0.059, 0.250) (multiplicity 4)
Sr (0.000, 0.186, 0.750) (multiplicity 4)
Sr (0.000, 0.435, 0.750) (multiplicity 4)
Si (0.151, 0.321, 0.344) (multiplicity 8)
As (0.245, 0.433, 0.252) (multiplicity 8)
As (0.247, 0.197, 0.282) (multiplicity 8)



[8]
A plane-wave DFT calculation with PBE was carried out for crystalline HfCrAgS4 at its relaxed geometry.

Summary:
Energy of formation from the pure elements, meV/atom: -1113
Energy, eV per atom: -6.395
Offset from the most stable computed form, eV/f.u.: 0.84
Total energy after the MP2020 corrections, eV/cell: -187.11
Calculated volume, Å³/cell: 540.6
Spin magnetization, Bohr magnetons per cell: 12.00

Unit cell a=12.097 b=3.609 c=12.382 alpha=90.00 beta=90.94 gamma=90.00
Space group Pm (No. 6)
Symmetry-distinct sites (fractional):
Hf (0.000, 0.000, 0.000) (multiplicity 1)
Hf (0.049, 0.000, 0.619) (multiplicity 1)
Hf (0.319, 0.500, 0.399) (multiplicity 1)
Hf (0.502, 0.000, 0.916) (multiplicity 1)
Cr (0.263, 0.500, 0.783) (multiplicity 1)
Cr (0.556, 0.000, 0.284) (multiplicity 1)
Cr (0.762, 0.500, 0.137) (multiplicity 1)
Cr (0.806, 0.500, 0.505) (multiplicity 1)
Ag (0.012, 0.500, 0.294) (multiplicity 1)
Ag (0.292, 0.000, 0.122) (multiplicity 1)
Ag (0.537, 0.500, 0.617) (multiplicity 1)
Ag (0.781, 0.000, 0.790) (multiplicity 1)
S (0.111, 0.500, 0.090) (multiplicity 1)
S (0.125, 0.000, 0.824) (multiplicity 1)
S (0.194, 0.000, 0.330) (multiplicity 1)
S (0.198, 0.500, 0.588) (multiplicity 1)
S (0.357, 0.500, 0.959) (multiplicity 1)
S (0.383, 0.000, 0.740) (multiplicity 1)
S (0.431, 0.500, 0.231) (multiplicity 1)
S (0.456, 0.000, 0.458) (multiplicity 1)
S (0.607, 0.500, 0.825) (multiplicity 1)
S (0.627, 0.000, 0.097) (multiplicity 1)
S (0.687, 0.500, 0.324) (multiplicity 1)
S (0.706, 0.000, 0.585) (multiplicity 1)
S (0.856, 0.500, 0.954) (multiplicity 1)
S (0.885, 0.000, 0.175) (multiplicity 1)
S (0.917, 0.500, 0.672) (multiplicity 1)
S (0.934, 0.000, 0.449) (multiplicity 1)